# 1
A relaxed structure of LiMg6BO7, computed with PBE-GGA.

For the calculated total energy, the calculation gives -5.55 eV per atom. Its volume is 10.312 Å³/atom. The formation energy from the elements comes out at -54.08 kcal/mol of atoms. As for the excess energy over the best structure of this formula in the dataset: 0.102 eV/atom. Its size of the total moment is 0.67 Bohr magnetons per cell.

a = 9.1119 Å, b = 4.1202 Å, c = 4.1202 Å
α = 90.00°, β = 90.00°, γ = 90.00°
Closest atoms and distances in Å follow each position.
Fractional coordinates of all 15 atoms:
1 O 0.8020 0.5000 0.5000  1 B 1.38
2 O 0.2624 0.5000 0.5000  5 Mg 2.01-2.10
3 O 0.9932 0.0000 0.5000  2 Mg 2.02-2.11, 2 Li 2.06, 2 B 2.09
4 O 0.5280 0.5000 0.0000  5 Mg 2.06-2.13
5 Mg 0.2154 0.5000 0.0000  3 O 2.02-2.10
6 Mg 0.7615 0.0000 0.5000  6 O 2.06-2.13
7 O 0.7528 0.0000 0.0000  1 Li 2.06, 5 Mg 2.06-2.10
8 Mg 0.7615 0.5000 0.0000  6 O 2.06-2.13
9 B 0.9537 0.5000 0.5000  1 O 1.38
10 O 0.5280 0.0000 0.5000  5 Mg 2.06-2.13
11 O 0.9932 0.5000 0.0000  2 Mg 2.02-2.11, 2 Li 2.06, 2 B 2.09
12 Li 0.9783 0.0000 0.0000  5 O 2.06
13 Mg 0.4827 0.5000 0.5000  5 O 2.01-2.10
14 Mg 0.2154 0.0000 0.5000  3 O 2.02-2.10
15 Mg 0.5219 0.0000 0.0000  5 O 2.06-2.10


# 2
A relaxed structure of CsSmI3, computed with PBE-GGA.

For the calculated total energy, the calculation gives -3.34 eV per atom. Its volume is 45.743 Å³/atom. The formation energy from the elements comes out at -35.30 kcal/mol of atoms. Its size of the total moment is 1.05 Bohr magnetons per cell.

a = 8.5551 Å, b = 8.5551 Å, c = 12.0171 Å
α = 90.00°, β = 90.00°, γ = 148.66°
Closest atoms and distances in Å follow each position.
Fractional coordinates of all 10 atoms:
1 I 0.0627 0.9373 0.7500  2 Sm 3.18
2 Sm 0.0000 0.0000 0.0000  6 I 3.18
3 I 0.6285 0.3715 0.0454  2 Sm 3.18
4 Cs 0.2444 0.7556 0.2500  8 I 3.88-4.12
5 I 0.3715 0.6285 0.5454  2 Sm 3.18
6 I 0.3715 0.6285 0.9546  2 Sm 3.18
7 Cs 0.7556 0.2444 0.7500  8 I 3.88-4.12
8 I 0.6285 0.3715 0.4546  2 Sm 3.18
9 I 0.9373 0.0627 0.2500  2 Sm 3.18
10 Sm 0.0000 0.0000 0.5000  6 I 3.18


The lowest formation energy from the elements belongs to which entry? LiMg6BO7


The lowest formation energy from the elements belongs to which entry? LiMg6BO7


Among the records above, which one has the highest formation energy from the elements? CsSmI3